[1]
The following is a DFT calculation (PBE) of a relaxed structure of KSmS2O8.

Calculated values
- DFT formation energy (meV per atom) = -2552.3

Cell lengths 8.7363, 7.2468, 10.6572 Å; angles 90.00, 92.20, 90.00 degrees
Last column: nearest neighbours and their distance in Å.
Positions (direct):
K (0.0626, 0.1505, 0.3423)  8 O 2.80-3.07
K (0.0626, 0.3495, 0.8423)  8 O 2.80-3.07
K (0.9374, 0.6505, 0.1577)  8 O 2.80-3.07
K (0.9374, 0.8495, 0.6577)  8 O 2.80-3.07
Sm (0.4443, 0.6689, 0.6510)  9 O 2.41-2.62
Sm (0.4443, 0.8311, 0.1510)  9 O 2.41-2.62
Sm (0.5557, 0.1689, 0.8490)  9 O 2.41-2.62
Sm (0.5557, 0.3311, 0.3490)  9 O 2.41-2.62
S (0.2289, 0.6566, 0.4110)  4 O 1.45-1.52
S (0.2289, 0.8434, 0.9110)  4 O 1.45-1.52
S (0.3188, 0.1665, 0.6096)  4 O 1.45-1.53
S (0.3188, 0.3335, 0.1096)  4 O 1.45-1.53
S (0.6812, 0.6665, 0.8904)  4 O 1.45-1.53
S (0.6812, 0.8335, 0.3904)  4 O 1.45-1.53
S (0.7711, 0.1566, 0.0890)  4 O 1.45-1.52
S (0.7711, 0.3434, 0.5890)  4 O 1.45-1.52
O (0.1070, 0.5312, 0.3708)  1 S 1.45
O (0.1070, 0.9688, 0.8708)  1 S 1.45
O (0.1539, 0.1396, 0.6081)  1 S 1.45
O (0.1539, 0.3604, 0.1081)  1 S 1.45
O (0.2027, 0.7469, 0.5347)  1 S 1.50
O (0.2027, 0.7531, 0.0347)  1 S 1.50
O (0.2559, 0.6997, 0.8132)  1 S 1.50
O (0.2559, 0.8003, 0.3132)  1 S 1.50
O (0.3638, 0.1671, 0.1905)  1 S 1.53
O (0.3638, 0.3329, 0.6905)  1 S 1.53
O (0.3744, 0.1823, 0.4807)  1 S 1.48
O (0.3744, 0.3177, 0.9807)  1 S 1.48
O (0.3788, 0.5546, 0.4387)  1 S 1.52
O (0.3788, 0.9454, 0.9387)  1 S 1.52
O (0.4064, 0.0115, 0.6765)  1 S 1.52
O (0.4064, 0.4885, 0.1765)  1 S 1.52
O (0.5936, 0.5115, 0.8235)  1 S 1.52
O (0.5936, 0.9885, 0.3235)  1 S 1.52
O (0.6212, 0.0546, 0.0613)  1 S 1.52
O (0.6212, 0.4454, 0.5613)  1 S 1.52
O (0.6256, 0.6823, 0.0193)  1 S 1.48
O (0.6256, 0.8177, 0.5193)  1 S 1.48
O (0.6362, 0.6671, 0.3095)  1 S 1.53
O (0.6362, 0.8329, 0.8095)  1 S 1.53
O (0.7441, 0.1997, 0.6868)  1 S 1.50
O (0.7441, 0.3003, 0.1868)  1 S 1.50
O (0.7973, 0.2469, 0.9653)  1 S 1.50
O (0.7973, 0.2531, 0.4653)  1 S 1.50
O (0.8461, 0.6396, 0.8919)  1 S 1.45
O (0.8461, 0.8604, 0.3919)  1 S 1.45
O (0.8930, 0.0312, 0.1292)  1 S 1.45
O (0.8930, 0.4688, 0.6292)  1 S 1.45

[2]
The following is a DFT calculation (PBE) of a relaxed structure of KSmS2O9.

Calculated values
- DFT formation energy (meV per atom) = -2214.2

Cell lengths 10.0071, 8.8015, 10.3444 Å; angles 90.00, 117.40, 90.00 degrees
Last column: nearest neighbours and their distance in Å.
Positions (direct):
K (0.2268, 0.1969, 0.1983)  8 O 2.83-3.10
K (0.2268, 0.3031, 0.6983)  8 O 2.83-3.10
K (0.7732, 0.6969, 0.3017)  8 O 2.83-3.10
K (0.7732, 0.8031, 0.8017)  8 O 2.83-3.10
Sm (0.2622, 0.6417, 0.0261)  9 O 2.39-2.55
Sm (0.2622, 0.8583, 0.5261)  9 O 2.39-2.55
Sm (0.7378, 0.1417, 0.4739)  9 O 2.39-2.55
Sm (0.7378, 0.3583, 0.9739)  9 O 2.39-2.55
S (0.0570, 0.6260, 0.1795)  4 O 1.48-1.50
S (0.0570, 0.8740, 0.6795)  4 O 1.48-1.50
S (0.4719, 0.6857, 0.8791)  4 O 1.48-1.50
S (0.4719, 0.8143, 0.3791)  4 O 1.48-1.50
S (0.5281, 0.1857, 0.6209)  4 O 1.48-1.50
S (0.5281, 0.3143, 0.1209)  4 O 1.48-1.50
S (0.9430, 0.1260, 0.3205)  4 O 1.48-1.50
S (0.9430, 0.3740, 0.8205)  4 O 1.48-1.50
O (0.0527, 0.7443, 0.0739)  1 S 1.50
O (0.0527, 0.7557, 0.5739)  1 S 1.50
O (0.0927, 0.0529, 0.3719)  1 S 1.49
O (0.0927, 0.4471, 0.8719)  1 S 1.49
O (0.0929, 0.6977, 0.3236)  1 S 1.50
O (0.0929, 0.8023, 0.8236)  1 S 1.50
O (0.1739, 0.5147, 0.1927)  1 S 1.48
O (0.1739, 0.9853, 0.6927)  1 S 1.48
O (0.2930, 0.5841, 0.5385)  2 O 2.42-2.58, 1 Sm 2.43
O (0.2930, 0.9159, 0.0385)  2 O 2.42-2.58, 1 Sm 2.43
O (0.3324, 0.5909, 0.8276)  1 S 1.50
O (0.3324, 0.9091, 0.3276)  1 S 1.50
O (0.3956, 0.0937, 0.5994)  1 S 1.48
O (0.3956, 0.4063, 0.0994)  1 S 1.48
O (0.4522, 0.6927, 0.2731)  1 S 1.48
O (0.4522, 0.8073, 0.7731)  1 S 1.48
O (0.4972, 0.7495, 0.0232)  1 S 1.50
O (0.4972, 0.7505, 0.5232)  1 S 1.50
O (0.5028, 0.2495, 0.4768)  1 S 1.50
O (0.5028, 0.2505, 0.9768)  1 S 1.50
O (0.5478, 0.1927, 0.2269)  1 S 1.48
O (0.5478, 0.3073, 0.7269)  1 S 1.48
O (0.6044, 0.5937, 0.9006)  1 S 1.48
O (0.6044, 0.9063, 0.4006)  1 S 1.48
O (0.6676, 0.0909, 0.6724)  1 S 1.50
O (0.6676, 0.4091, 0.1724)  1 S 1.50
O (0.7070, 0.0841, 0.9615)  2 O 2.42-2.58, 1 Sm 2.43
O (0.7070, 0.4159, 0.4615)  2 O 2.42-2.58, 1 Sm 2.43
O (0.8261, 0.0147, 0.3073)  1 S 1.48
O (0.8261, 0.4853, 0.8073)  1 S 1.48
O (0.9071, 0.1977, 0.1764)  1 S 1.50
O (0.9071, 0.3023, 0.6764)  1 S 1.50
O (0.9073, 0.5529, 0.1281)  1 S 1.49
O (0.9073, 0.9471, 0.6281)  1 S 1.49
O (0.9473, 0.2443, 0.4261)  1 S 1.50
O (0.9473, 0.2557, 0.9261)  1 S 1.50

[3]
The following is a DFT calculation (PBE) of a relaxed structure of K7TaS6O24.

Calculated values
- DFT formation energy (meV per atom) = -2290.7

Cell lengths 9.4602, 9.4602, 9.4602 Å; angles 109.45, 109.45, 109.45 degrees
Last column: nearest neighbours and their distance in Å.
Positions (direct):
K (0.0000, 0.0000, 0.0000)  6 O 2.74
K (0.1656, 0.6632, 0.8241)  6 O 2.72-2.98
K (0.1759, 0.8344, 0.3368)  6 O 2.72-2.98
K (0.3368, 0.1759, 0.8344)  6 O 2.72-2.98
K (0.6632, 0.8241, 0.1656)  6 O 2.72-2.98
K (0.8241, 0.1656, 0.6632)  6 O 2.72-2.98
K (0.8344, 0.3368, 0.1759)  6 O 2.72-2.98
Ta (0.5000, 0.5000, 0.5000)  6 O 1.98
S (0.1186, 0.2459, 0.4685)  4 O 1.47-1.57
S (0.2459, 0.4685, 0.1186)  4 O 1.47-1.57
S (0.4685, 0.1186, 0.2459)  4 O 1.47-1.57
S (0.5315, 0.8814, 0.7541)  4 O 1.47-1.57
S (0.7541, 0.5315, 0.8814)  4 O 1.47-1.57
S (0.8814, 0.7541, 0.5315)  4 O 1.47-1.57
O (0.0235, 0.8510, 0.7124)  1 S 1.48
O (0.0739, 0.3357, 0.5907)  1 S 1.47
O (0.1396, 0.5152, 0.1860)  1 S 1.47
O (0.1490, 0.2876, 0.9765)  1 S 1.48
O (0.1860, 0.1396, 0.5152)  1 S 1.47
O (0.2689, 0.3929, 0.4780)  1 S 1.57
O (0.2876, 0.9765, 0.1490)  1 S 1.48
O (0.3357, 0.5907, 0.0739)  1 S 1.47
O (0.3929, 0.4780, 0.2689)  1 S 1.57
O (0.4093, 0.9261, 0.6643)  1 S 1.47
O (0.4780, 0.2689, 0.3929)  1 S 1.57
O (0.4848, 0.8140, 0.8604)  1 S 1.47
O (0.5152, 0.1860, 0.1396)  1 S 1.47
O (0.5220, 0.7311, 0.6071)  1 S 1.57
O (0.5907, 0.0739, 0.3357)  1 S 1.47
O (0.6071, 0.5220, 0.7311)  1 S 1.57
O (0.6643, 0.4093, 0.9261)  1 S 1.47
O (0.7124, 0.0235, 0.8510)  1 S 1.48
O (0.7311, 0.6071, 0.5220)  1 S 1.57
O (0.8140, 0.8604, 0.4848)  1 S 1.47
O (0.8510, 0.7124, 0.0235)  1 S 1.48
O (0.8604, 0.4848, 0.8140)  1 S 1.47
O (0.9261, 0.6643, 0.4093)  1 S 1.47
O (0.9765, 0.1490, 0.2876)  1 S 1.48

[4]
The following is a DFT calculation (PBE) of a relaxed structure of KTbS2O9.

Calculated values
- DFT formation energy (meV per atom) = -2214.6

Cell lengths 10.1172, 8.5232, 10.3207 Å; angles 90.00, 116.33, 90.00 degrees
Last column: nearest neighbours and their distance in Å.
Positions (direct):
K (0.2236, 0.1783, 0.1902)  7 O 2.86-3.13
K (0.2236, 0.3217, 0.6902)  7 O 2.86-3.13
K (0.7764, 0.6783, 0.3098)  7 O 2.86-3.13
K (0.7764, 0.8217, 0.8098)  7 O 2.86-3.13
Tb (0.2485, 0.6303, 0.0271)  8 O 2.33-2.45
Tb (0.2485, 0.8697, 0.5271)  8 O 2.33-2.45
Tb (0.7515, 0.1303, 0.4729)  8 O 2.33-2.45
Tb (0.7515, 0.3697, 0.9729)  8 O 2.33-2.45
S (0.0574, 0.6310, 0.1869)  4 O 1.48-1.50
S (0.0574, 0.8690, 0.6869)  4 O 1.48-1.50
S (0.4848, 0.6956, 0.8845)  4 O 1.48-1.50
S (0.4848, 0.8044, 0.3845)  4 O 1.48-1.50
S (0.5152, 0.1956, 0.6155)  4 O 1.48-1.50
S (0.5152, 0.3044, 0.1155)  4 O 1.48-1.50
S (0.9426, 0.1310, 0.3131)  4 O 1.48-1.50
S (0.9426, 0.3690, 0.8131)  4 O 1.48-1.50
O (0.0606, 0.7493, 0.5816)  1 S 1.50
O (0.0606, 0.7507, 0.0816)  1 S 1.50
O (0.0929, 0.0614, 0.3670)  1 S 1.49
O (0.0929, 0.4386, 0.8670)  1 S 1.49
O (0.0933, 0.7031, 0.3289)  1 S 1.48
O (0.0933, 0.7969, 0.8289)  1 S 1.48
O (0.1666, 0.5092, 0.1946)  1 S 1.49
O (0.1666, 0.9908, 0.6946)  1 S 1.49
O (0.3440, 0.6163, 0.5649)  2 O 2.29-2.37, 1 Tb 2.33
O (0.3440, 0.8837, 0.0649)  2 O 2.29-2.37, 1 Tb 2.33
O (0.3590, 0.5920, 0.8662)  1 S 1.49
O (0.3590, 0.9080, 0.3662)  1 S 1.49
O (0.3865, 0.1039, 0.6059)  1 S 1.48
O (0.3865, 0.3961, 0.1059)  1 S 1.48
O (0.4391, 0.6985, 0.2560)  1 S 1.50
O (0.4391, 0.8015, 0.7560)  1 S 1.50
O (0.4688, 0.2105, 0.9810)  1 S 1.49
O (0.4688, 0.2895, 0.4810)  1 S 1.49
O (0.5312, 0.7105, 0.5190)  1 S 1.49
O (0.5312, 0.7895, 0.0190)  1 S 1.49
O (0.5609, 0.1985, 0.2440)  1 S 1.50
O (0.5609, 0.3015, 0.7440)  1 S 1.50
O (0.6135, 0.6039, 0.8941)  1 S 1.48
O (0.6135, 0.8961, 0.3941)  1 S 1.48
O (0.6410, 0.0920, 0.6338)  1 S 1.49
O (0.6410, 0.4080, 0.1338)  1 S 1.49
O (0.6560, 0.1163, 0.9351)  2 O 2.29-2.37, 1 Tb 2.33
O (0.6560, 0.3837, 0.4351)  2 O 2.29-2.37, 1 Tb 2.33
O (0.8334, 0.0092, 0.3054)  1 S 1.49
O (0.8334, 0.4908, 0.8054)  1 S 1.49
O (0.9067, 0.2031, 0.1711)  1 S 1.48
O (0.9067, 0.2969, 0.6711)  1 S 1.48
O (0.9071, 0.5614, 0.1330)  1 S 1.49
O (0.9071, 0.9386, 0.6330)  1 S 1.49
O (0.9394, 0.2493, 0.9184)  1 S 1.50
O (0.9394, 0.2507, 0.4184)  1 S 1.50

[5]
The following is a DFT calculation (PBE) of a relaxed structure of K2TeSO10.

Calculated values
- DFT formation energy (meV per atom) = -1165.2

Cell lengths 6.2522, 6.9505, 12.6766 Å; angles 79.88, 81.83, 66.20 degrees
Last column: nearest neighbours and their distance in Å.
Positions (direct):
K (0.0810, 0.0954, 0.1465)  7 O 2.80-2.96
K (0.3142, 0.3971, 0.3610)  6 O 2.73-3.01
K (0.6858, 0.6029, 0.6390)  6 O 2.73-3.01
K (0.9190, 0.9046, 0.8535)  7 O 2.80-2.96
Te (0.0000, 0.0000, 0.5000)  6 O 1.93-1.94
Te (0.5000, 0.5000, 0.0000)  6 O 1.92-1.95
S (0.2510, 0.2940, 0.7483)  4 O 1.48-1.50
S (0.7490, 0.7060, 0.2517)  4 O 1.48-1.50
O (0.0845, 0.4931, 0.7886)  1 S 1.48
O (0.0850, 0.6970, 0.5127)  1 Te 1.94
O (0.1119, 0.1912, 0.7126)  1 S 1.48
O (0.1610, 0.0613, 0.3648)  1 Te 1.93
O (0.2107, 0.7236, 0.0387)  1 Te 1.92
O (0.2825, 0.9218, 0.5710)  1 Te 1.93
O (0.2955, 0.3455, 0.0141)  1 Te 1.95
O (0.4053, 0.3525, 0.6583)  1 S 1.50
O (0.4113, 0.1478, 0.8299)  1 S 1.49
O (0.4724, 0.6422, 0.8545)  1 Te 1.93
O (0.5276, 0.3578, 0.1455)  1 Te 1.93
O (0.5887, 0.8522, 0.1701)  1 S 1.49
O (0.5947, 0.6475, 0.3417)  1 S 1.50
O (0.7045, 0.6545, 0.9859)  1 Te 1.95
O (0.7175, 0.0782, 0.4290)  1 Te 1.93
O (0.7893, 0.2764, 0.9613)  1 Te 1.92
O (0.8390, 0.9387, 0.6352)  1 Te 1.93
O (0.8881, 0.8088, 0.2874)  1 S 1.48
O (0.9150, 0.3030, 0.4873)  1 Te 1.94
O (0.9155, 0.5069, 0.2114)  1 S 1.48

[6]
The following is a DFT calculation (PBE) of a relaxed structure of K6Ti2S6O.

Calculated values
- DFT formation energy (meV per atom) = -1774.7

Cell lengths 13.4663, 10.4756, 13.1238 Å; angles 90.00, 105.88, 90.00 degrees
Last column: nearest neighbours and their distance in Å.
Positions (direct):
K (0.0047, 0.1583, 0.3962)  5 S 3.23-3.59
K (0.0047, 0.3417, 0.8962)  5 S 3.23-3.59
K (0.0869, 0.0239, 0.1604)  4 S 3.09-3.18
K (0.0869, 0.4761, 0.6604)  4 S 3.09-3.18
K (0.2034, 0.7352, 0.4352)  5 S 3.17-3.34
K (0.2034, 0.7648, 0.9352)  5 S 3.17-3.34
K (0.2859, 0.2165, 0.5836)  1 O 2.95, 3 S 3.23-3.29
K (0.2859, 0.2835, 0.0836)  1 O 2.95, 3 S 3.23-3.29
K (0.4060, 0.5448, 0.8301)  5 S 3.14-3.38
K (0.4060, 0.9552, 0.3301)  5 S 3.14-3.38
K (0.4693, 0.1678, 0.8970)  1 O 3.02, 3 S 3.31-3.38
K (0.4693, 0.3322, 0.3970)  1 O 3.02, 3 S 3.31-3.38
K (0.5307, 0.6678, 0.6030)  1 O 3.02, 3 S 3.31-3.38
K (0.5307, 0.8322, 0.1030)  1 O 3.02, 3 S 3.31-3.38
K (0.5940, 0.0448, 0.6699)  5 S 3.14-3.38
K (0.5940, 0.4552, 0.1699)  5 S 3.14-3.38
K (0.7141, 0.7165, 0.9164)  1 O 2.95, 3 S 3.23-3.29
K (0.7141, 0.7835, 0.4164)  1 O 2.95, 3 S 3.23-3.29
K (0.7966, 0.2352, 0.0648)  5 S 3.17-3.34
K (0.7966, 0.2648, 0.5648)  5 S 3.17-3.34
K (0.9131, 0.5239, 0.3396)  4 S 3.09-3.18
K (0.9131, 0.9761, 0.8396)  4 S 3.09-3.18
K (0.9953, 0.6583, 0.1038)  5 S 3.23-3.59
K (0.9953, 0.8417, 0.6038)  5 S 3.23-3.59
Ti (0.1784, 0.1302, 0.7930)  1 O 1.86
Ti (0.1784, 0.3698, 0.2930)  1 O 1.86
Ti (0.3380, 0.6094, 0.2166)  1 O 1.86
Ti (0.3380, 0.8906, 0.7166)  1 O 1.86
Ti (0.6620, 0.1094, 0.2834)  1 O 1.86
Ti (0.6620, 0.3906, 0.7834)  1 O 1.86
Ti (0.8216, 0.6302, 0.7070)  1 O 1.86
Ti (0.8216, 0.8698, 0.2070)  1 O 1.86
S (0.0331, 0.1467, 0.6549)  1 Ti 2.28
S (0.0331, 0.3533, 0.1549)  1 Ti 2.28
S (0.1420, 0.0582, 0.9415)  1 Ti 2.26
S (0.1420, 0.4418, 0.4415)  1 Ti 2.26
S (0.2247, 0.7263, 0.6947)  1 Ti 2.27
S (0.2247, 0.7737, 0.1947)  1 Ti 2.27
S (0.2473, 0.1742, 0.3321)  1 Ti 2.25
S (0.2473, 0.3258, 0.8321)  1 Ti 2.25
S (0.3749, 0.5733, 0.0618)  1 Ti 2.25
S (0.3749, 0.9267, 0.5618)  1 Ti 2.25
S (0.4888, 0.6499, 0.3425)  1 Ti 2.28
S (0.4888, 0.8501, 0.8425)  1 Ti 2.28
S (0.5112, 0.1499, 0.1575)  1 Ti 2.28
S (0.5112, 0.3501, 0.6575)  1 Ti 2.28
S (0.6251, 0.0733, 0.4382)  1 Ti 2.25
S (0.6251, 0.4267, 0.9382)  1 Ti 2.25
S (0.7527, 0.6742, 0.1679)  1 Ti 2.25
S (0.7527, 0.8258, 0.6679)  1 Ti 2.25
S (0.7753, 0.2263, 0.8053)  1 Ti 2.27
S (0.7753, 0.2737, 0.3053)  1 Ti 2.27
S (0.8580, 0.5582, 0.5585)  1 Ti 2.26
S (0.8580, 0.9418, 0.0585)  1 Ti 2.26
S (0.9670, 0.6467, 0.8451)  1 Ti 2.28
S (0.9670, 0.8533, 0.3451)  1 Ti 2.28
O (0.2810, 0.0380, 0.7559)  2 Ti 1.86
O (0.2810, 0.4620, 0.2559)  2 Ti 1.86
O (0.7190, 0.5380, 0.7441)  2 Ti 1.86
O (0.7190, 0.9620, 0.2441)  2 Ti 1.86